A geometry-optimized NaEu2Sn structure. Source: the Materials Project database, functional PBE.

```
4
Lattice="0.0000 3.8084 3.8084 3.8084 0.0000 3.8084 3.8084 3.8084 0.0000" Properties=species:S:1:pos:R:3 pbc="T T T"
Na 0.0000 0.0000 0.0000
Eu 1.9042 1.9042 1.9042
Eu 5.7126 5.7126 5.7126
Sn 3.8084 3.8084 3.8084
```

Properties
Energy relative to the elements = -321 meV per atom
E_tot = -6.782 eV per atom
Total moment = 14.4 μB/f.u.